DFT (GGA-PBE) results for a relaxed structure of KErSe2O8.

## Properties
**Total moment**: 0.001 μB/cell
**Raw total energy**: -567.13 eV per cell
**Calculated density**: 4567 kg/m3

The structure in CIF format:
```
data_KErSe2O8
_cell_length_a 27.7538
_cell_length_b 5.6922
_cell_length_c 9.0637
_cell_angle_alpha 90.00
_cell_angle_beta 90.00
_cell_angle_gamma 90.00
_symmetry_space_group_name_H-M 'P n a 21'
_symmetry_Int_Tables_number 33
_symmetry_space_group_name_Hall 'P 2c -2n'
loop_
_atom_site_label
_atom_site_fract_x
_atom_site_fract_y
_atom_site_fract_z
K1 0.0814 0.2448 0.0000
K2 0.1676 0.7131 0.6612
Er1 0.0528 0.2239 0.5283
Er2 0.1990 0.6768 0.1234
Se1 0.0440 0.7634 0.7296
Se2 0.0666 0.7344 0.2579
Se3 0.1828 0.1904 0.3896
Se4 0.2075 0.2093 0.9245
O1 0.0098 0.8323 0.5839
O2 0.0108 0.6906 0.1940
O3 0.0168 0.7475 0.8926
O4 0.0720 0.0074 0.3250
O5 0.0761 0.5161 0.7061
O6 0.0765 0.5401 0.3923
O7 0.0829 0.9918 0.7302
O8 0.1068 0.7035 0.1223
O9 0.1419 0.2038 0.5244
O10 0.1688 0.3871 0.2604
O11 0.1709 0.4470 0.9213
O12 0.1732 0.9755 0.9666
O13 0.1824 0.9216 0.3159
O14 0.2302 0.1698 0.7564
O15 0.2375 0.2538 0.4554
O16 0.2454 0.2711 0.0607
```

***

DFT (GGA-PBE) results for a relaxed structure of La4Al6O15.

## Properties
**Total moment**: 0.008 μB/cell
**Raw total energy**: -391.72 eV per cell
**Calculated density**: 4574 kg/m3

The structure in CIF format:
```
data_La4Al6O15
_cell_length_a 5.0553
_cell_length_b 6.9686
_cell_length_c 21.2202
_cell_angle_alpha 93.42
_cell_angle_beta 90.00
_cell_angle_gamma 111.27
_symmetry_space_group_name_H-M 'P 1'
_symmetry_Int_Tables_number 1
_symmetry_space_group_name_Hall 'P 1'
loop_
_atom_site_label
_atom_site_fract_x
_atom_site_fract_y
_atom_site_fract_z
La1 0.0000 0.0000 0.0000
La2 0.0049 0.9836 0.1970
La3 0.2790 0.5580 0.0992
La4 0.3002 0.5744 0.9023
La5 0.5865 0.9854 0.6976
La6 0.6249 0.0111 0.5008
La7 0.8802 0.5727 0.4016
La8 0.9026 0.5641 0.5985
Al1 0.1446 0.1292 0.6049
Al2 0.1527 0.1013 0.3848
Al3 0.2942 0.6101 0.2747
Al4 0.3021 0.4444 0.4945
Al5 0.3305 0.4568 0.7145
Al6 0.5641 0.1055 0.8851
Al7 0.5936 0.1153 0.1044
Al8 0.5961 0.9455 0.3251
Al9 0.7376 0.4525 0.2142
Al10 0.7574 0.4428 0.9948
Al11 0.9296 0.6125 0.7741
Al12 0.9631 0.9479 0.8245
O1 0.0343 0.6836 0.0075
O2 0.0394 0.8602 0.7468
O3 0.0750 0.2111 0.6799
O4 0.0758 0.2877 0.5499
O5 0.1430 0.3469 0.4193
O6 0.2118 0.5246 0.7880
O7 0.2217 0.1195 0.8780
O8 0.2502 0.1212 0.1017
O9 0.2673 0.6856 0.5087
O10 0.3366 0.6505 0.6628
O11 0.3813 0.4386 0.2213
O12 0.4080 0.4369 0.9975
O13 0.4342 0.8597 0.2471
O14 0.4582 0.6978 0.3524
O15 0.4889 0.1242 0.6021
O16 0.5102 0.1180 0.3783
O17 0.5550 0.9139 0.9377
O18 0.6297 0.8744 0.0917
O19 0.6437 0.4339 0.4972
O20 0.6712 0.4401 0.7209
O21 0.6811 0.0361 0.8114
O22 0.7514 0.2132 0.1796
O23 0.8172 0.3449 0.9197
O24 0.8252 0.2790 0.0496
O25 0.8535 0.6983 0.8521
O26 0.8676 0.8887 0.5910
O27 0.9201 0.6442 0.1615
O28 0.9241 0.5220 0.2878
O29 0.9662 0.0334 0.3112
O30 0.9768 0.9229 0.4376
```